The following is a PBE+U calculation of MnH12N2Cl4O2 after structural relaxation, from the Materials Project database.

Unit cell a=7.5580 b=7.5539 c=8.4432 alpha=89.97 beta=89.98 gamma=90.00
Element x y z (fractional)
Mn1 0.4996 0.5003 0.5003
Mn2 0.0012 0.0009 0.9996
H1 0.4260 0.4262 0.1683
H2 0.9264 0.9263 0.6676
H3 0.0742 0.0740 0.6673
H4 0.5741 0.5739 0.1678
H5 0.9262 0.0740 0.3320
H6 0.4255 0.5736 0.8329
H7 0.5735 0.4259 0.8322
H8 0.0742 0.9262 0.3319
H9 0.0862 0.5705 0.3213
H10 0.5875 0.0700 0.8213
H11 0.4292 0.9119 0.3210
H12 0.9282 0.4132 0.8211
H13 0.0703 0.4124 0.1790
H14 0.5712 0.9125 0.6785
H15 0.5879 0.9282 0.1791
H16 0.0867 0.4293 0.6789
H17 0.5709 0.0863 0.3215
H18 0.0701 0.5875 0.8211
H19 0.9119 0.4287 0.3211
H20 0.4133 0.9280 0.8212
H21 0.4136 0.0700 0.1785
H22 0.9125 0.5712 0.6785
H23 0.9286 0.5868 0.1786
H24 0.4292 0.0867 0.6792
N1 0.5004 0.9991 0.2500
N2 0.9994 0.5004 0.7499
N3 0.9993 0.4996 0.2500
N4 0.5003 0.9993 0.7501
Cl1 0.2418 0.2412 0.0220
Cl2 0.7403 0.7412 0.5216
Cl3 0.7397 0.2598 0.4780
Cl4 0.2411 0.7596 0.9780
Cl5 0.7600 0.2410 0.9777
Cl6 0.2586 0.7410 0.4779
Cl7 0.2591 0.2602 0.5228
Cl8 0.7608 0.7603 0.0221
O1 0.0008 0.0008 0.2627
O2 0.5002 0.5008 0.7632
O3 0.4997 0.5006 0.2372
O4 0.0003 0.0002 0.7367

Properties
ΔE_f = -18.80 eV per formula unit
Energy with MP2020 corrections = -4.888 eV per atom
Mass density = 1.85 g/cm³
Maximum piezoelectric response = 0.2 C/m2
Calculated total energy = -0.3486 Ry/atom

=====

The following is a PBE+U calculation of MoH2N2Cl5O after structural relaxation, from the Materials Project database.

Unit cell a=7.0370 b=9.9704 c=13.8019 alpha=90.00 beta=90.00 gamma=90.00
Element x y z (fractional)
Mo1 0.3073 0.2500 0.6160
Mo2 0.1927 0.2500 0.1160
Mo3 0.6927 0.7500 0.3840
Mo4 0.8073 0.7500 0.8840
H1 0.5327 0.1687 0.4552
H2 0.9673 0.3313 0.9552
H3 0.4673 0.6687 0.5448
H4 0.0327 0.8313 0.0448
H5 0.4673 0.8313 0.5448
H6 0.0327 0.6687 0.0448
H7 0.5327 0.3313 0.4552
H8 0.9673 0.1687 0.9552
N1 0.3453 0.0001 0.8560
N2 0.1547 0.4999 0.3560
N3 0.6547 0.5001 0.1440
N4 0.8453 0.9999 0.6440
N5 0.6547 0.9999 0.1440
N6 0.8453 0.5001 0.6440
N7 0.3453 0.4999 0.8560
N8 0.1547 0.0001 0.3560
Cl1 0.3177 0.4886 0.6067
Cl2 0.1823 0.0114 0.1067
Cl3 0.6823 0.9886 0.3933
Cl4 0.8177 0.5114 0.8933
Cl5 0.6823 0.5114 0.3933
Cl6 0.8177 0.9886 0.8933
Cl7 0.3177 0.0114 0.6067
Cl8 0.1823 0.4886 0.1067
Cl9 0.0577 0.2500 0.5069
Cl10 0.4423 0.2500 0.0069
Cl11 0.9423 0.7500 0.4931
Cl12 0.5577 0.7500 0.9931
Cl13 0.5699 0.2500 0.7154
Cl14 0.9301 0.2500 0.2154
Cl15 0.4301 0.7500 0.2846
Cl16 0.0699 0.7500 0.7846
Cl17 0.1027 0.2500 0.7475
Cl18 0.3973 0.2500 0.2475
Cl19 0.8973 0.7500 0.2525
Cl20 0.6027 0.7500 0.7525
O1 0.5036 0.2500 0.4927
O2 0.9964 0.2500 0.9927
O3 0.4964 0.7500 0.5073
O4 0.0036 0.7500 0.0073

Properties
ΔE_f = 2.93 eV per formula unit
Energy with MP2020 corrections = -4.143 eV per atom
Mass density = 2.19 g/cm³
Calculated total energy = -0.2785 Ry/atom

=====

- mass density of number 1 (MnH12N2Cl4O2)?
  1.85 g/cm³

=====

- Which of these has the highest calculated total energy?
  MoH2N2Cl5O

=====

- Among the records above, which one has the highest mass density?
  MoH2N2Cl5O

=====

- Which of these has the highest calculated total energy?
  MoH2N2Cl5O